A plane-wave DFT calculation with PBE with a Hubbard U was carried out for a relaxed NiH8Cl2O4 crystal.

Magnetic moment   8.00 μB per cell
DFT total energy   -272.36 eV per cell
Calculated volume   619.6 Å³ per cell
E above lowest polymorph   23 meV per atom
Formation enthalpy at 0 K   -1.131 eV per atom

Unit cell a=6.100 b=9.451 c=11.507 alpha=90.00 beta=110.94 gamma=90.00
Positions (direct):
Ni 0.241 0.172 0.237
Ni 0.241 0.328 0.737
Ni 0.759 0.672 0.263
Ni 0.759 0.828 0.763
H 0.009 0.151 0.389
H 0.009 0.349 0.889
H 0.022 0.021 0.914
H 0.022 0.479 0.414
H 0.035 0.508 0.183
H 0.035 0.992 0.683
H 0.186 0.593 0.686
H 0.186 0.907 0.186
H 0.347 0.679 0.296
H 0.347 0.821 0.796
H 0.386 0.578 0.067
H 0.386 0.922 0.567
H 0.453 0.206 0.074
H 0.453 0.294 0.574
H 0.485 0.060 0.648
H 0.485 0.440 0.148
H 0.515 0.560 0.852
H 0.515 0.940 0.352
H 0.547 0.706 0.426
H 0.547 0.794 0.926
H 0.614 0.078 0.433
H 0.614 0.422 0.933
H 0.653 0.179 0.204
H 0.653 0.321 0.704
H 0.814 0.093 0.814
H 0.814 0.407 0.314
H 0.965 0.008 0.317
H 0.965 0.492 0.817
H 0.978 0.521 0.586
H 0.978 0.979 0.086
H 0.991 0.651 0.111
H 0.991 0.849 0.611
Cl 0.029 0.686 0.926
Cl 0.029 0.814 0.426
Cl 0.337 0.145 0.887
Cl 0.337 0.355 0.387
Cl 0.663 0.645 0.613
Cl 0.663 0.855 0.113
Cl 0.971 0.186 0.574
Cl 0.971 0.314 0.074
O 0.033 0.612 0.196
O 0.033 0.888 0.696
O 0.150 0.512 0.630
O 0.150 0.988 0.130
O 0.479 0.038 0.366
O 0.479 0.462 0.866
O 0.496 0.731 0.335
O 0.496 0.769 0.835
O 0.504 0.231 0.165
O 0.504 0.269 0.665
O 0.521 0.538 0.134
O 0.521 0.962 0.634
O 0.850 0.012 0.870
O 0.850 0.488 0.370
O 0.967 0.112 0.304
O 0.967 0.388 0.804